Material: Li2Nb2Fe3O10
Method: DFT, GGA+U
State: optimized geometry

Calculated values
The total energy is -7.323 eV per atom. The value obtained for the formation energy is -2.3072 eV per atom.

```
data_Li2Nb2Fe3O10
_symmetry_space_group_name_H-M 'P 1'
_symmetry_Int_Tables_number 1
_symmetry_space_group_name_Hall 'P 1'
_cell_length_a 5.2018
_cell_length_b 5.3512
_cell_length_c 8.0721
_cell_angle_alpha 73.15
_cell_angle_beta 71.66
_cell_angle_gamma 78.22
loop_
_atom_site_label
_atom_site_type_symbol
_atom_site_fract_x
_atom_site_fract_y
_atom_site_fract_z
_atom_site_occupancy
Li1 Li 0.0000 0.0000 0.0000 1
Li2 Li 0.1342 0.9714 0.3528 1
Nb1 Nb 0.5163 0.6653 0.0738 1
Nb2 Nb 0.6293 0.5065 0.4438 1
Fe1 Fe 0.0587 0.5972 0.7523 1
Fe2 Fe 0.5350 0.2722 0.8884 1
Fe3 Fe 0.5402 0.9302 0.6590 1
O1 O 0.3134 0.6667 0.8947 1
O2 O 0.3193 0.0113 0.0934 1
O3 O 0.3253 0.7987 0.5387 1
O4 O 0.3398 0.2814 0.6966 1
O5 O 0.3536 0.4794 0.3094 1
O6 O 0.7773 0.9054 0.8332 1
O7 O 0.7854 0.1524 0.4511 1
O8 O 0.7880 0.7127 0.2098 1
O9 O 0.8043 0.5926 0.6035 1
O10 O 0.8141 0.3873 0.9716 1
```